! LaMnZnFeO6, relaxed, DFT GGA+U; values from VASP
&SYSTEM
  ibrav = 0, nat = 20, ntyp = 5
/
ATOMIC_SPECIES
La 138.91 La.upf
Mn 54.94 Mn.upf
Zn 65.41 Zn.upf
Fe 55.84 Fe.upf
O 16.00 O.upf
ATOMIC_POSITIONS angstrom
La 0.000 1.208 0.000
La -2.655 4.268 3.833
Mn -2.693 1.392 5.749
Mn -0.038 4.084 1.916
Zn -0.136 1.528 3.836
Zn 2.519 3.948 0.004
Fe 2.622 1.392 1.925
Fe -0.033 4.084 5.758
O -4.104 2.618 6.139
O -1.450 2.858 2.307
O -1.057 0.243 2.352
O -3.712 5.233 6.185
O 1.159 2.654 1.507
O -1.496 2.822 5.340
O -1.106 0.289 5.310
O 1.549 5.187 1.478
O -2.284 1.564 7.621
O 0.370 3.912 3.788
O 1.942 1.276 3.873
O 4.596 4.200 0.041
CELL_PARAMETERS angstrom
5.334 0.000 0.000
0.000 5.476 0.000
-5.309 0.000 7.665
! Volume = 11.2 Å³ per atom
! Crystal system = monoclinic
! Uncorrected energy = -136.06 eV/cell
! ΔH_f (0 K) = -2256 meV/atom


! La4Fe3NiO12, relaxed, DFT GGA+U; values from VASP
&SYSTEM
  ibrav = 0, nat = 20, ntyp = 4
/
ATOMIC_SPECIES
La 138.91 La.upf
Fe 55.84 Fe.upf
Ni 58.69 Ni.upf
O 16.00 O.upf
ATOMIC_POSITIONS angstrom
La 0.024 0.167 2.008
La 2.736 2.986 2.009
La 2.842 2.599 5.936
La 5.554 5.417 5.937
Fe -0.005 2.799 0.000
Fe -0.005 2.792 3.972
Fe 2.795 0.000 0.000
Ni 2.794 -0.007 3.972
O 0.444 2.866 5.977
O 1.156 4.379 3.662
O 1.203 4.390 0.347
O 1.567 1.620 3.659
O 1.576 1.586 0.352
O 2.374 0.070 5.988
O 3.204 5.515 1.957
O 4.002 3.999 7.593
O 4.012 3.964 4.286
O 4.376 1.194 7.598
O 4.423 1.206 4.283
O 5.135 2.718 1.968
CELL_PARAMETERS angstrom
5.589 0.000 0.000
-0.010 5.599 0.000
0.000 -0.014 7.945
! Volume = 12.4 Å³ per atom
! Crystal system = triclinic
! Uncorrected energy = -147.64 eV/cell
! ΔH_f (0 K) = -2744 meV/atom


! La4FeNi3O12, relaxed, DFT GGA+U; values from VASP
&SYSTEM
  ibrav = 0, nat = 40, ntyp = 4
/
ATOMIC_SPECIES
La 138.91 La.upf
Fe 55.84 Fe.upf
Ni 58.69 Ni.upf
O 16.00 O.upf
ATOMIC_POSITIONS angstrom
La 1.258 0.755 5.664
La 3.767 2.237 16.973
La 3.893 2.313 10.231
La 3.990 2.379 3.454
La 6.510 3.857 14.705
La 6.607 3.923 7.927
La 6.733 3.999 1.186
La 9.242 5.482 12.494
Fe 1.204 0.718 9.079
Fe 4.046 2.400 0.000
Ni 1.313 0.790 2.271
Ni 3.830 2.277 13.621
Ni 3.943 2.322 6.810
Ni 6.557 3.914 11.349
Ni 6.670 3.960 4.538
Ni 9.187 5.447 15.888
O 2.746 4.461 3.399
O 2.392 3.243 5.945
O 3.772 4.058 14.463
O 3.885 3.696 8.236
O 5.285 4.525 16.738
O 2.507 1.907 1.112
O 2.768 1.202 7.931
O 5.000 4.810 10.534
O 3.996 4.191 0.821
O 6.515 5.298 12.787
O 5.487 4.671 3.120
O 5.376 2.786 12.499
O 5.124 3.450 5.660
O 5.013 1.565 15.039
O 3.985 0.938 5.371
O 6.504 2.045 17.338
O 5.500 1.426 7.624
O 7.732 5.034 10.228
O 7.993 4.330 17.047
O 5.215 1.711 1.421
O 6.616 2.540 9.923
O 6.728 2.179 3.695
O 8.108 2.993 12.214
O 7.754 1.775 14.759
CELL_PARAMETERS angstrom
5.468 0.000 0.000
2.623 4.799 0.000
2.409 1.437 18.159
! Volume = 11.9 Å³ per atom
! Crystal system = triclinic
! Uncorrected energy = -275.94 eV/cell
! Polymorph energy (0 for the lowest one) = 6 meV/atom
! ΔH_f (0 K) = -2558 meV/atom


! La4FeNi3O12, relaxed, DFT GGA+U; values from VASP
&SYSTEM
  ibrav = 0, nat = 20, ntyp = 4
/
ATOMIC_SPECIES
La 138.91 La.upf
Fe 55.84 Fe.upf
Ni 58.69 Ni.upf
O 16.00 O.upf
ATOMIC_POSITIONS angstrom
La 0.063 0.012 1.918
La 2.874 2.782 5.879
La 2.793 2.791 1.915
La 5.603 5.561 5.876
Fe 0.102 2.787 3.897
Ni 0.001 2.778 0.000
Ni 2.731 0.000 0.000
Ni 2.832 0.009 3.897
O 0.066 2.441 1.959
O 1.262 4.361 3.649
O 1.409 1.215 7.535
O 1.550 4.024 0.269
O 1.656 1.607 4.137
O 2.773 0.387 1.928
O 2.893 5.186 5.866
O 4.010 3.966 3.657
O 4.117 1.549 7.524
O 4.257 4.358 0.259
O 4.404 1.212 4.144
O 5.600 3.132 5.834
CELL_PARAMETERS angstrom
5.462 0.000 0.000
0.002 5.556 0.000
0.203 0.018 7.794
! Volume = 11.8 Å³ per atom
! Crystal system = triclinic
! Uncorrected energy = -138.10 eV/cell
! Polymorph energy (0 for the lowest one) = 0 meV/atom
! ΔH_f (0 K) = -2564 meV/atom


! La4FeNi2O10, relaxed, DFT GGA+U; values from VASP
&SYSTEM
  ibrav = 0, nat = 17, ntyp = 4
/
ATOMIC_SPECIES
La 138.91 La.upf
Fe 55.84 Fe.upf
Ni 58.69 Ni.upf
O 16.00 O.upf
ATOMIC_POSITIONS angstrom
La 0.000 0.000 0.000
La 0.000 0.000 3.651
La 0.000 0.000 7.330
La 0.000 0.000 11.291
Fe 0.000 0.000 23.688
Ni 0.000 0.000 15.789
Ni 0.000 0.000 19.746
O 1.952 0.000 1.619
O 1.952 0.000 5.626
O 1.952 0.000 9.632
O 0.000 0.000 13.595
O 0.000 1.952 1.619
O 0.000 0.000 17.802
O 0.000 1.952 5.626
O 0.000 0.000 21.755
O 0.000 1.952 9.632
O 0.000 0.000 25.918
CELL_PARAMETERS angstrom
-1.952 1.952 14.169
1.952 -1.952 14.169
1.952 1.952 -14.169
! Volume = 12.7 Å³ per atom
! Crystal system = tetragonal
! Uncorrected energy = -122.27 eV/cell
! ΔH_f (0 K) = -2778 meV/atom


! La4FeO8, relaxed, DFT GGA+U; values from VASP
&SYSTEM
  ibrav = 0, nat = 52, ntyp = 3
/
ATOMIC_SPECIES
Fe 55.84 Fe.upf
La 138.91 La.upf
O 16.00 O.upf
ATOMIC_POSITIONS angstrom
Fe -4.716 6.261 3.184
La -1.047 6.727 -5.733
Fe -2.822 1.373 2.101
O -6.379 8.607 -3.980
O -3.552 2.170 -2.777
O -8.242 6.765 -5.258
O -0.444 4.161 0.005
O -9.272 3.238 -4.368
O -2.522 5.698 -3.666
O -10.362 2.227 -8.604
La -9.755 6.606 -7.186
O -6.348 1.877 -6.341
O -3.395 4.731 -0.828
O -6.114 6.114 1.402
O -3.578 1.378 -5.581
La -6.998 4.352 -5.421
La -2.037 2.330 -0.849
La -4.166 2.980 -7.508
O -5.472 6.267 -4.498
O -4.220 1.226 0.319
La -6.924 5.234 -9.273
La -3.879 8.099 -3.645
O -5.446 7.059 -1.693
O -7.574 7.710 -8.353
La -6.060 7.869 -6.425
O -8.217 7.558 -2.452
O -9.454 -0.115 -9.123
La -4.796 4.583 -2.613
La -10.673 3.091 -6.154
O -5.523 5.382 -7.488
O -4.485 3.719 -5.063
O -5.680 2.821 -9.436
La -7.861 1.718 -8.270
O -8.399 4.205 -7.206
O -11.348 4.774 -8.040
Fe -6.844 6.912 -3.475
Fe -4.950 2.023 -4.558
O -2.338 9.050 1.088
O 0.354 6.875 -3.947
La -10.747 2.208 -2.301
O 0.463 1.821 -0.514
O -12.148 2.061 -4.087
O -1.432 6.710 0.569
La -3.932 7.218 0.235
O -6.271 3.554 -0.546
La -1.985 3.210 -4.728
La -4.870 3.701 1.239
O -6.322 2.669 -3.535
O -5.415 0.327 -4.054
O -7.309 5.216 -2.971
O -12.256 7.116 -7.521
La -1.120 5.845 -1.880
CELL_PARAMETERS angstrom
1.855 7.033 -2.036
-8.005 -0.842 -10.200
-5.644 2.745 4.203
! Volume = 14.3 Å³ per atom
! Uncorrected energy = -408.98 eV/cell
! ΔH_f (0 K) = -3246 meV/atom


! La3Fe5O12, relaxed, DFT GGA+U; values from VASP
&SYSTEM
  ibrav = 0, nat = 80, ntyp = 3
/
ATOMIC_SPECIES
La 138.91 La.upf
Fe 55.84 Fe.upf
O 16.00 O.upf
ATOMIC_POSITIONS angstrom
La 3.224 1.612 0.000
La 6.447 3.224 -1.612
La 1.612 0.000 3.224
La 8.059 0.000 3.224
La 0.000 3.224 1.612
La 3.224 -1.612 6.447
La 3.224 8.059 0.000
La 6.447 3.224 4.835
La -1.612 6.447 3.224
La 4.835 6.447 3.224
La 0.000 3.224 8.059
La 3.224 4.835 6.447
Fe 0.000 0.000 0.000
Fe 3.224 3.224 -3.224
Fe 3.224 -3.224 3.224
Fe 6.447 0.000 0.000
Fe 9.671 1.612 0.000
Fe 6.447 -3.224 4.835
Fe 4.835 6.447 -3.224
Fe 4.835 0.000 3.224
Fe 3.224 4.835 0.000
Fe 6.447 3.224 1.612
Fe -3.224 3.224 3.224
Fe 0.000 6.447 0.000
Fe 0.000 0.000 6.447
Fe 3.224 3.224 3.224
Fe 0.000 3.224 4.835
Fe 3.224 1.612 6.447
Fe 1.612 6.447 3.224
Fe 1.612 0.000 9.671
Fe 0.000 9.671 1.612
Fe -3.224 4.835 6.447
O 1.923 -0.377 0.669
O 7.748 3.893 -3.601
O 8.370 0.377 0.669
O 7.748 -2.555 3.601
O 6.070 -0.669 1.923
O 10.048 -1.301 2.555
O 0.669 1.923 -0.377
O 9.002 2.846 -1.301
O 3.893 3.601 -1.301
O 5.778 1.923 0.377
O -0.377 0.669 1.923
O 3.601 -1.301 3.893
O 6.070 5.778 -1.923
O 3.601 1.301 2.555
O 3.893 -3.601 7.748
O 5.778 -1.923 6.070
O 2.555 3.601 1.301
O 7.116 4.525 0.377
O 3.601 7.748 -2.555
O 6.070 0.669 4.525
O 1.923 6.070 -0.669
O 7.748 2.555 2.846
O 1.301 2.555 3.601
O 1.923 0.377 5.778
O 4.525 6.070 0.669
O 5.146 3.893 2.846
O -1.301 3.893 3.601
O 4.525 0.377 7.116
O 0.377 5.778 1.923
O 2.846 -1.301 9.002
O -0.669 1.923 6.070
O 3.893 2.846 5.146
O 0.669 8.370 0.377
O 2.555 10.048 -1.301
O 2.846 5.146 3.893
O 0.377 0.669 8.370
O 2.846 7.748 2.555
O 6.824 5.778 4.525
O 0.669 4.525 6.070
O 2.555 2.846 7.748
O -2.555 3.601 7.748
O 5.778 4.525 6.825
O -3.601 7.748 3.893
O 0.377 7.116 4.525
O -1.301 9.002 2.846
O -1.923 6.070 5.778
O -1.301 2.555 10.048
O 4.525 6.825 5.778
CELL_PARAMETERS angstrom
-6.447 6.447 6.447
6.447 -6.447 6.447
6.447 6.447 -6.447
! Volume = 13.4 Å³ per atom
! Crystal system = cubic
! Uncorrected energy = -590.17 eV/cell
! ΔH_f (0 K) = -2527 meV/atom


! La7Fe2O16, relaxed, DFT GGA+U; values from VASP
&SYSTEM
  ibrav = 0, nat = 25, ntyp = 3
/
ATOMIC_SPECIES
La 138.91 La.upf
Fe 55.84 Fe.upf
O 16.00 O.upf
ATOMIC_POSITIONS angstrom
La 0.000 0.000 0.000
La 2.698 2.690 0.343
La 2.676 0.000 3.211
La 5.354 2.702 3.252
La 2.698 -2.690 0.343
La 5.403 0.000 0.345
La 5.354 -2.702 3.252
Fe 0.010 0.000 4.934
Fe 5.364 0.000 4.924
O 0.145 0.000 3.012
O 2.688 2.304 2.536
O 1.335 1.286 5.035
O 4.117 4.074 5.051
O 2.711 0.000 0.589
O 5.381 2.608 0.989
O 1.335 -1.286 5.035
O 4.034 1.289 4.991
O 2.688 -2.304 2.536
O 5.211 0.000 2.925
O 6.610 1.336 4.999
O 4.034 -1.289 4.991
O 8.036 0.000 0.459
O 5.381 -2.608 0.989
O 6.610 -1.336 4.999
O 4.117 -4.074 5.051
CELL_PARAMETERS angstrom
5.350 -5.409 0.000
5.350 5.409 0.000
-2.684 0.000 6.414
! Volume = 14.8 Å³ per atom
! Crystal system = monoclinic
! Uncorrected energy = -189.15 eV/cell
! ΔH_f (0 K) = -2960 meV/atom


! La2FeP2O, relaxed, DFT GGA+U; values from VASP
&SYSTEM
  ibrav = 0, nat = 6, ntyp = 4
/
ATOMIC_SPECIES
La 138.91 La.upf
Fe 55.84 Fe.upf
P 30.97 P.upf
O 16.00 O.upf
ATOMIC_POSITIONS angstrom
La 0.000 0.000 2.108
La 0.000 0.000 12.511
Fe 0.000 0.000 7.309
P 0.000 0.000 5.025
P 0.000 0.000 9.593
O 0.000 0.000 0.000
CELL_PARAMETERS angstrom
3.449 0.000 0.000
0.000 3.449 0.000
0.000 0.000 14.618
! Volume = 29.0 Å³ per atom
! Crystal system = tetragonal
! Uncorrected energy = -31.39 eV/cell
! ΔH_f (0 K) = -37 meV/atom


! LaFe2PbO6, relaxed, DFT GGA+U; values from VASP
&SYSTEM
  ibrav = 0, nat = 20, ntyp = 4
/
ATOMIC_SPECIES
La 138.91 La.upf
Fe 55.84 Fe.upf
Pb 207.20 Pb.upf
O 16.00 O.upf
ATOMIC_POSITIONS angstrom
La 0.000 1.229 0.000
La 3.962 4.395 2.791
Fe 1.971 1.428 2.832
Fe 1.991 4.196 0.041
Fe 5.933 4.196 0.041
Fe 5.953 1.428 2.832
Pb 0.000 4.061 2.879
Pb 3.962 1.564 0.089
O 0.000 1.486 2.376
O 0.000 4.334 0.518
O 1.628 5.422 4.031
O 1.639 2.608 4.434
O 2.324 3.017 1.643
O 2.334 0.203 1.240
O 3.962 1.290 3.308
O 3.962 4.138 5.167
O 5.590 0.203 1.240
O 5.601 3.017 1.643
O 6.286 2.608 4.434
O 6.296 5.422 4.031
CELL_PARAMETERS angstrom
7.924 0.000 0.000
0.000 5.624 0.000
0.000 0.000 5.581
! Volume = 12.4 Å³ per atom
! Crystal system = orthorhombic
! Uncorrected energy = -135.65 eV/cell
! ΔH_f (0 K) = -2118 meV/atom


! LaFeReO6, relaxed, DFT GGA+U; values from VASP
&SYSTEM
  ibrav = 0, nat = 18, ntyp = 4
/
ATOMIC_SPECIES
La 138.91 La.upf
Fe 55.84 Fe.upf
Re 186.21 Re.upf
O 16.00 O.upf
ATOMIC_POSITIONS angstrom
La 0.000 1.132 0.000
La -2.733 4.470 3.923
Fe 2.822 1.429 1.985
Fe 0.089 4.173 5.908
Re -2.666 1.461 5.910
Re 0.067 4.141 1.988
O -1.029 2.638 1.716
O -3.762 2.963 5.638
O -2.409 1.351 4.051
O 0.324 4.251 0.128
O -3.079 1.455 7.776
O -0.346 4.147 3.853
O 1.259 0.050 2.208
O -1.474 5.552 6.131
O -1.158 2.519 6.214
O 1.575 3.082 2.292
O 1.438 0.211 5.714
O 4.171 5.390 1.792
CELL_PARAMETERS angstrom
5.532 0.000 0.000
0.000 5.602 0.000
-5.466 0.000 7.845
! Volume = 13.5 Å³ per atom
! Crystal system = monoclinic
! Uncorrected energy = -142.02 eV/cell
! ΔH_f (0 K) = -2427 meV/atom